# 1
Sr2CaI6 | PBE | optimized geometry

Properties
Energy above the lowest structure with this stoichiometry, eV per atom: 0.009
Symmetry: P2_1/c (14)
Total energy after the MP2020 corrections, eV/atom: -3.523

Lattice parameters (Å, degrees): 7.658 8.491 13.870 90.00 122.85 90.00
Sites, in units of the cell vectors:
Sr: 0.201 0.107 0.252
Sr: 0.201 0.393 0.752
Sr: 0.799 0.607 0.248
Sr: 0.799 0.893 0.748
Ca: 0.500 0.000 0.000
Ca: 0.500 0.500 0.500
I: 0.095 0.181 0.924
I: 0.095 0.319 0.424
I: 0.257 0.682 0.932
I: 0.257 0.818 0.432
I: 0.399 0.047 0.750
I: 0.399 0.453 0.250
I: 0.601 0.547 0.750
I: 0.601 0.953 0.250
I: 0.743 0.182 0.568
I: 0.743 0.318 0.068
I: 0.905 0.681 0.576
I: 0.905 0.819 0.076



# 2
V3Sb2 | PBE | optimized geometry

Properties
Symmetry: R-3m (166)
Total energy after the MP2020 corrections, eV/atom: -7.325

Lattice parameters (Å, degrees): 7.535 7.535 7.535 42.96 42.96 42.96
Sites, in units of the cell vectors:
V: 0.127 0.602 0.602
V: 0.398 0.398 0.873
V: 0.398 0.873 0.398
V: 0.602 0.127 0.602
V: 0.602 0.602 0.127
V: 0.873 0.398 0.398
Sb: 0.110 0.110 0.110
Sb: 0.331 0.331 0.331
Sb: 0.669 0.669 0.669
Sb: 0.890 0.890 0.890



# 3
Mg3Sb | PBE | optimized geometry

Properties
Energy above the lowest structure with this stoichiometry, eV per atom: 0.137
Symmetry: Imm2 (44)
Total energy after the MP2020 corrections, eV/atom: -2.312

Lattice parameters (Å, degrees): 6.104 6.104 6.104 148.79 63.29 126.45
Sites, in units of the cell vectors:
Mg: 0.000 0.000 0.000
Mg: 0.417 0.667 0.750
Mg: 0.917 0.667 0.250
Sb: 0.495 0.995 0.500



# 4
SmMg3 | PBE | optimized geometry

Properties
Symmetry: P6_3/mmc (194)

Lattice parameters (Å, degrees): 6.771 6.771 5.203 90.00 90.00 120.00
Sites, in units of the cell vectors:
Sm: 0.333 0.667 0.250
Sm: 0.667 0.333 0.750
Mg: 0.162 0.324 0.750
Mg: 0.162 0.838 0.750
Mg: 0.324 0.162 0.250
Mg: 0.676 0.838 0.750
Mg: 0.838 0.162 0.250
Mg: 0.838 0.676 0.250



Record order is preserved below.
ΔE_f: -1658, -108, -31, -34 kJ/mol of formula units